The following is a DFT calculation (PBE-GGA) of an optimized crystal structure of CdHC2N4O4.

Structure (POSCAR):
```
CdHC2N4O4
1.0
9.0652 0.0000 0.0000
0.0000 15.9860 0.0000
0.0000 0.0000 10.1270
Cd H C N O
4 4 8 16 16
Direct
0.0000 0.2205 0.2500
0.0000 0.7795 0.7500
0.5000 0.2795 0.7500
0.5000 0.7205 0.2500
0.0000 0.1263 0.7500
0.0000 0.8737 0.2500
0.5000 0.3737 0.2500
0.5000 0.6263 0.7500
0.1409 0.3307 0.0027
0.1409 0.6693 0.5027
0.3591 0.1693 0.5027
0.3591 0.8307 0.0027
0.6409 0.1693 0.9973
0.6409 0.8307 0.4973
0.8591 0.3307 0.4973
0.8591 0.6693 0.9973
0.1920 0.0435 0.1804
0.1920 0.9565 0.6804
0.2118 0.4637 0.7482
0.2118 0.5363 0.2482
0.2882 0.0363 0.2482
0.2882 0.9637 0.7482
0.3080 0.4565 0.6804
0.3080 0.5435 0.1804
0.6920 0.4565 0.8196
0.6920 0.5435 0.3196
0.7118 0.0363 0.2518
0.7118 0.9637 0.7518
0.7882 0.4637 0.7518
0.7882 0.5363 0.2518
0.8080 0.0435 0.3196
0.8080 0.9565 0.8196
0.0794 0.3912 0.0395
0.0794 0.6088 0.5395
0.2046 0.2717 0.9620
0.2046 0.7283 0.4620
0.2954 0.2283 0.4620
0.2954 0.7717 0.9620
0.4206 0.1088 0.5395
0.4206 0.8912 0.0395
0.5794 0.1088 0.9605
0.5794 0.8912 0.4605
0.7046 0.2283 0.0380
0.7046 0.7717 0.5380
0.7954 0.2717 0.5380
0.7954 0.7283 0.0380
0.9206 0.3912 0.4605
0.9206 0.6088 0.9605
```

Summary:
- Crystal system: orthorhombic
- Raw total energy: -321.87 eV for the cell shown